[1]
# Li5Fe8B8O24 GGA+U optimized geometry
data_Li5Fe8B8O24
_chemical_formula_sum 'Li5 Fe8 B8 O24'
_symmetry_space_group_name_H-M 'P 1'
_symmetry_Int_Tables_number 1
_cell_length_a 5.257
_cell_length_b 8.980
_cell_length_c 10.348
_cell_angle_alpha 89.63
_cell_angle_beta 88.51
_cell_angle_gamma 89.82
loop_
_symmetry_equiv_pos_as_xyz
'x,y,z'
loop_
_atom_site_label
_atom_site_type_symbol
_atom_site_fract_x
_atom_site_fract_y
_atom_site_fract_z
Li1 Li 0.000 0.000 0.000
Li2 Li 0.002 0.978 0.507
Li3 Li 0.313 0.003 0.752
Li4 Li 0.318 0.979 0.250
Li5 Li 0.815 0.483 0.262
Fe1 Fe 0.321 0.337 0.778
Fe2 Fe 0.321 0.648 0.287
Fe3 Fe 0.496 0.172 0.034
Fe4 Fe 0.499 0.820 0.532
Fe5 Fe 0.805 0.812 0.786
Fe6 Fe 0.806 0.152 0.288
Fe7 Fe 0.989 0.333 0.536
Fe8 Fe 0.998 0.659 0.042
B1 B 0.000 0.321 0.038
B2 B 0.316 0.666 0.796
B3 B 0.319 0.320 0.294
B4 B 0.484 0.161 0.544
B5 B 0.487 0.827 0.044
B6 B 0.821 0.825 0.287
B7 B 0.831 0.159 0.782
B8 B 0.998 0.662 0.537
O1 O 0.062 0.322 0.339
O2 O 0.074 0.674 0.854
O3 O 0.228 0.308 0.968
O4 O 0.238 0.674 0.485
O5 O 0.355 0.029 0.552
O6 O 0.357 0.294 0.576
O7 O 0.357 0.697 0.076
O8 O 0.359 0.961 0.051
O9 O 0.424 0.184 0.253
O10 O 0.430 0.798 0.754
O11 O 0.435 0.532 0.777
O12 O 0.460 0.445 0.287
O13 O 0.565 0.831 0.318
O14 O 0.568 0.171 0.807
O15 O 0.742 0.165 0.506
O16 O 0.746 0.822 0.010
O17 O 0.875 0.528 0.543
O18 O 0.875 0.792 0.582
O19 O 0.876 0.190 0.078
O20 O 0.905 0.456 0.073
O21 O 0.933 0.694 0.241
O22 O 0.955 0.028 0.805
O23 O 0.963 0.284 0.735
O24 O 0.971 0.950 0.307
# Energy of formation from the pure elements, kJ/mol of atoms: -220.05
# Spin magnetization, μB per formula unit: 35.00



[2]
# K4CrO4 GGA+U optimized geometry
data_K4CrO4
_chemical_formula_sum 'K8 Cr2 O8'
_symmetry_space_group_name_H-M 'P 1'
_symmetry_Int_Tables_number 1
_cell_length_a 6.414
_cell_length_b 6.454
_cell_length_c 9.608
_cell_angle_alpha 72.14
_cell_angle_beta 79.87
_cell_angle_gamma 66.78
loop_
_symmetry_equiv_pos_as_xyz
'x,y,z'
loop_
_atom_site_label
_atom_site_type_symbol
_atom_site_fract_x
_atom_site_fract_y
_atom_site_fract_z
K1 K 0.223 0.463 0.116
K2 K 0.247 0.268 0.527
K3 K 0.249 0.912 0.338
K4 K 0.274 0.013 0.937
K5 K 0.726 0.987 0.063
K6 K 0.751 0.088 0.662
K7 K 0.753 0.732 0.473
K8 K 0.777 0.537 0.884
Cr1 Cr 0.272 0.656 0.748
Cr2 Cr 0.728 0.344 0.252
O1 O 0.045 0.794 0.872
O2 O 0.129 0.663 0.599
O3 O 0.444 0.362 0.845
O4 O 0.449 0.835 0.692
O5 O 0.551 0.165 0.308
O6 O 0.556 0.638 0.155
O7 O 0.871 0.337 0.401
O8 O 0.955 0.206 0.128
# Energy of formation from the pure elements, kJ/mol of atoms: -179.47



[3]
# Cr3FeP6O24 GGA+U optimized geometry
data_Cr3FeP6O24
_chemical_formula_sum 'Cr3 Fe1 P6 O24'
_symmetry_space_group_name_H-M 'P 1'
_symmetry_Int_Tables_number 1
_cell_length_a 8.820
_cell_length_b 8.820
_cell_length_c 8.820
_cell_angle_alpha 58.38
_cell_angle_beta 58.38
_cell_angle_gamma 58.38
loop_
_symmetry_equiv_pos_as_xyz
'x,y,z'
loop_
_atom_site_label
_atom_site_type_symbol
_atom_site_fract_x
_atom_site_fract_y
_atom_site_fract_z
Cr1 Cr 0.000 0.000 0.000
Cr2 Cr 0.214 0.214 0.214
Cr3 Cr 0.500 0.500 0.500
Fe1 Fe 0.714 0.714 0.714
P1 P 0.109 0.389 0.824
P2 P 0.321 0.891 0.608
P3 P 0.389 0.824 0.109
P4 P 0.608 0.321 0.891
P5 P 0.824 0.109 0.389
P6 P 0.891 0.608 0.321
O1 O 0.076 0.436 0.287
O2 O 0.080 0.219 0.849
O3 O 0.138 0.920 0.780
O4 O 0.144 0.359 0.993
O5 O 0.219 0.849 0.080
O6 O 0.283 0.416 0.641
O7 O 0.287 0.076 0.436
O8 O 0.348 0.720 0.578
O9 O 0.359 0.993 0.144
O10 O 0.416 0.641 0.283
O11 O 0.436 0.287 0.076
O12 O 0.492 0.872 0.630
O13 O 0.571 0.799 0.938
O14 O 0.578 0.348 0.720
O15 O 0.630 0.492 0.872
O16 O 0.641 0.283 0.416
O17 O 0.720 0.578 0.348
O18 O 0.780 0.138 0.920
O19 O 0.799 0.938 0.571
O20 O 0.849 0.080 0.219
O21 O 0.872 0.630 0.492
O22 O 0.920 0.780 0.138
O23 O 0.938 0.571 0.799
O24 O 0.993 0.144 0.359
# Energy of formation from the pure elements, kJ/mol of atoms: -218.04
# Spin magnetization, μB per formula unit: 8.00



[4]
# Sr2VO4 GGA+U optimized geometry
data_Sr2VO4
_chemical_formula_sum 'Sr16 V8 O32'
_symmetry_space_group_name_H-M 'P 1'
_symmetry_Int_Tables_number 1
_cell_length_a 12.989
_cell_length_b 6.654
_cell_length_c 11.348
_cell_angle_alpha 90.00
_cell_angle_beta 90.00
_cell_angle_gamma 90.00
loop_
_symmetry_equiv_pos_as_xyz
'x,y,z'
loop_
_atom_site_label
_atom_site_type_symbol
_atom_site_fract_x
_atom_site_fract_y
_atom_site_fract_z
Sr1 Sr 0.106 0.222 0.203
Sr2 Sr 0.111 0.611 0.500
Sr3 Sr 0.135 0.115 0.785
Sr4 Sr 0.241 0.650 0.963
Sr5 Sr 0.259 0.150 0.463
Sr6 Sr 0.365 0.615 0.285
Sr7 Sr 0.389 0.111 0.000
Sr8 Sr 0.394 0.722 0.703
Sr9 Sr 0.606 0.278 0.203
Sr10 Sr 0.611 0.889 0.500
Sr11 Sr 0.635 0.385 0.785
Sr12 Sr 0.741 0.850 0.963
Sr13 Sr 0.759 0.350 0.463
Sr14 Sr 0.865 0.885 0.285
Sr15 Sr 0.889 0.389 0.000
Sr16 Sr 0.894 0.778 0.703
V1 V 0.006 0.812 0.029
V2 V 0.147 0.721 0.217
V3 V 0.353 0.221 0.717
V4 V 0.494 0.312 0.529
V5 V 0.506 0.688 0.029
V6 V 0.647 0.779 0.217
V7 V 0.853 0.279 0.717
V8 V 0.994 0.188 0.529
O1 O 0.017 0.833 0.875
O2 O 0.052 0.926 0.595
O3 O 0.075 0.550 0.076
O4 O 0.118 0.291 0.587
O5 O 0.137 0.923 0.080
O6 O 0.166 0.896 0.615
O7 O 0.190 0.480 0.319
O8 O 0.217 0.905 0.319
O9 O 0.283 0.405 0.819
O10 O 0.310 0.980 0.819
O11 O 0.334 0.396 0.115
O12 O 0.363 0.423 0.580
O13 O 0.382 0.791 0.087
O14 O 0.425 0.050 0.576
O15 O 0.448 0.426 0.095
O16 O 0.483 0.333 0.375
O17 O 0.517 0.667 0.875
O18 O 0.552 0.574 0.595
O19 O 0.575 0.950 0.076
O20 O 0.618 0.209 0.587
O21 O 0.637 0.577 0.080
O22 O 0.666 0.604 0.615
O23 O 0.690 0.020 0.319
O24 O 0.717 0.595 0.319
O25 O 0.783 0.095 0.819
O26 O 0.810 0.520 0.819
O27 O 0.834 0.104 0.115
O28 O 0.863 0.077 0.580
O29 O 0.882 0.709 0.087
O30 O 0.925 0.450 0.576
O31 O 0.948 0.074 0.095
O32 O 0.983 0.167 0.375
# Energy of formation from the pure elements, kJ/mol of atoms: -224.18
# Spin magnetization, μB per formula unit: 0.00



[5]
# CaLaFeSbO6 GGA+U optimized geometry
data_CaLaFeSbO6
_chemical_formula_sum 'Ca2 La2 Fe2 Sb2 O12'
_symmetry_space_group_name_H-M 'P 1'
_symmetry_Int_Tables_number 1
_cell_length_a 5.604
_cell_length_b 5.760
_cell_length_c 8.062
_cell_angle_alpha 90.27
_cell_angle_beta 90.38
_cell_angle_gamma 91.45
loop_
_symmetry_equiv_pos_as_xyz
'x,y,z'
loop_
_atom_site_label
_atom_site_type_symbol
_atom_site_fract_x
_atom_site_fract_y
_atom_site_fract_z
Ca1 Ca 0.000 0.000 0.000
Ca2 Ca 0.489 0.392 0.497
La1 La 0.017 0.897 0.495
La2 La 0.529 0.497 0.997
Fe1 Fe 0.009 0.446 0.248
Fe2 Fe 0.511 0.947 0.748
Sb1 Sb 0.011 0.444 0.747
Sb2 Sb 0.508 0.949 0.246
O1 O 0.110 0.408 0.986
O2 O 0.202 0.165 0.689
O3 O 0.222 0.140 0.296
O4 O 0.304 0.644 0.696
O5 O 0.316 0.655 0.299
O6 O 0.408 0.915 0.008
O7 O 0.603 0.983 0.486
O8 O 0.704 0.239 0.197
O9 O 0.722 0.242 0.799
O10 O 0.797 0.758 0.198
O11 O 0.824 0.728 0.806
O12 O 0.904 0.478 0.509
# Energy of formation from the pure elements, kJ/mol of atoms: -262.34



[6]
# K2MgFe4P6O16F12 GGA+U optimized geometry
data_K2MgFe4P6O16F12
_chemical_formula_sum 'K2 Mg1 Fe4 P6 O16 F12'
_symmetry_space_group_name_H-M 'P 1'
_symmetry_Int_Tables_number 1
_cell_length_a 7.778
_cell_length_b 7.875
_cell_length_c 10.612
_cell_angle_alpha 77.09
_cell_angle_beta 69.37
_cell_angle_gamma 89.27
loop_
_symmetry_equiv_pos_as_xyz
'x,y,z'
loop_
_atom_site_label
_atom_site_type_symbol
_atom_site_fract_x
_atom_site_fract_y
_atom_site_fract_z
K1 K 0.000 0.000 0.000
K2 K 0.432 0.762 0.549
Mg1 Mg 0.628 0.112 0.629
Fe1 Fe 0.251 0.891 0.268
Fe2 Fe 0.597 0.572 0.123
Fe3 Fe 0.763 0.406 0.793
Fe4 Fe 0.988 0.226 0.426
P1 P 0.203 0.295 0.633
P2 P 0.333 0.489 0.948
P3 P 0.565 0.159 0.316
P4 P 0.569 0.980 0.959
P5 P 0.910 0.631 0.270
P6 P 0.952 0.813 0.600
O1 O 0.059 0.355 0.745
O2 O 0.063 0.777 0.218
O3 O 0.117 0.788 0.476
O4 O 0.174 0.224 0.524
O5 O 0.380 0.534 0.062
O6 O 0.380 0.997 0.062
O7 O 0.438 0.016 0.315
O8 O 0.471 0.430 0.831
O9 O 0.530 0.346 0.263
O10 O 0.590 0.123 0.456
O11 O 0.660 0.813 0.990
O12 O 0.703 0.139 0.897
O13 O 0.807 0.647 0.171
O14 O 0.816 0.658 0.678
O15 O 0.856 0.982 0.568
O16 O 0.967 0.452 0.316
F1 F 0.049 0.849 0.704
F2 F 0.104 0.093 0.279
F3 F 0.158 0.358 0.013
F4 F 0.244 0.653 0.883
F5 F 0.311 0.152 0.707
F6 F 0.372 0.436 0.561
F7 F 0.412 0.692 0.262
F8 F 0.514 0.960 0.820
F9 F 0.752 0.470 0.978
F10 F 0.763 0.130 0.210
F11 F 0.763 0.676 0.407
F12 F 0.772 0.310 0.611
# Energy of formation from the pure elements, kJ/mol of atoms: -258.75
# Spin magnetization, μB per formula unit: 18.00



[7]
# Na3V5O10 GGA+U optimized geometry
data_Na3V5O10
_chemical_formula_sum 'Na6 V10 O20'
_symmetry_space_group_name_H-M 'P 1'
_symmetry_Int_Tables_number 1
_cell_length_a 5.200
_cell_length_b 6.578
_cell_length_c 13.378
_cell_angle_alpha 91.90
_cell_angle_beta 97.77
_cell_angle_gamma 104.57
loop_
_symmetry_equiv_pos_as_xyz
'x,y,z'
loop_
_atom_site_label
_atom_site_type_symbol
_atom_site_fract_x
_atom_site_fract_y
_atom_site_fract_z
Na1 Na 0.000 0.000 0.000
Na2 Na 0.003 0.800 0.201
Na3 Na 0.496 0.296 0.701
Na4 Na 0.500 0.500 0.500
Na5 Na 0.504 0.704 0.299
Na6 Na 0.997 0.200 0.799
V1 V 0.000 0.109 0.400
V2 V 0.000 0.500 0.000
V3 V 0.000 0.891 0.600
V4 V 0.001 0.301 0.204
V5 V 0.497 0.393 0.100
V6 V 0.498 0.800 0.703
V7 V 0.500 0.000 0.500
V8 V 0.502 0.200 0.297
V9 V 0.503 0.607 0.900
V10 V 0.999 0.699 0.796
O1 O 0.203 0.745 0.933
O2 O 0.216 0.953 0.740
O3 O 0.221 0.552 0.139
O4 O 0.224 0.366 0.330
O5 O 0.248 0.149 0.536
O6 O 0.253 0.355 0.962
O7 O 0.260 0.146 0.160
O8 O 0.271 0.546 0.764
O9 O 0.276 0.953 0.361
O10 O 0.283 0.756 0.563
O11 O 0.717 0.244 0.437
O12 O 0.724 0.047 0.639
O13 O 0.729 0.454 0.236
O14 O 0.740 0.854 0.840
O15 O 0.747 0.645 0.038
O16 O 0.752 0.851 0.464
O17 O 0.776 0.634 0.670
O18 O 0.779 0.448 0.861
O19 O 0.784 0.047 0.260
O20 O 0.797 0.255 0.067
# Energy of formation from the pure elements, kJ/mol of atoms: -231.70
# Spin magnetization, μB per formula unit: 1.01



[8]
# MgV4O6F4 GGA+U optimized geometry
data_MgV4O6F4
_chemical_formula_sum 'Mg1 V4 O6 F4'
_symmetry_space_group_name_H-M 'P 1'
_symmetry_Int_Tables_number 1
_cell_length_a 5.503
_cell_length_b 5.817
_cell_length_c 7.126
_cell_angle_alpha 104.61
_cell_angle_beta 109.26
_cell_angle_gamma 99.79
loop_
_symmetry_equiv_pos_as_xyz
'x,y,z'
loop_
_atom_site_label
_atom_site_type_symbol
_atom_site_fract_x
_atom_site_fract_y
_atom_site_fract_z
Mg1 Mg 0.000 0.000 0.000
V1 V 0.103 0.671 0.205
V2 V 0.307 0.860 0.776
V3 V 0.693 0.140 0.224
V4 V 0.897 0.329 0.795
O1 O 0.057 0.001 0.726
O2 O 0.156 0.370 0.077
O3 O 0.352 0.903 0.082
O4 O 0.648 0.097 0.918
O5 O 0.844 0.630 0.923
O6 O 0.943 0.999 0.274
F1 F 0.174 0.508 0.706
F2 F 0.360 0.783 0.510
F3 F 0.640 0.217 0.490
F4 F 0.826 0.492 0.294
# Energy of formation from the pure elements, kJ/mol of atoms: -257.98
# Spin magnetization, μB per formula unit: 6.00



[9]
# BaMnO3 GGA+U optimized geometry
data_BaMnO3
_chemical_formula_sum 'Ba6 Mn6 O18'
_symmetry_space_group_name_H-M 'P 1'
_symmetry_Int_Tables_number 1
_cell_length_a 10.055
_cell_length_b 10.055
_cell_length_c 5.045
_cell_angle_alpha 90.00
_cell_angle_beta 90.00
_cell_angle_gamma 120.00
loop_
_symmetry_equiv_pos_as_xyz
'x,y,z'
loop_
_atom_site_label
_atom_site_type_symbol
_atom_site_fract_x
_atom_site_fract_y
_atom_site_fract_z
Ba1 Ba 0.000 0.334 0.000
Ba2 Ba 0.000 0.666 0.500
Ba3 Ba 0.334 0.000 0.000
Ba4 Ba 0.334 0.334 0.500
Ba5 Ba 0.666 0.000 0.500
Ba6 Ba 0.666 0.666 0.000
Mn1 Mn 0.000 0.000 0.339
Mn2 Mn 0.000 0.000 0.839
Mn3 Mn 0.333 0.667 0.172
Mn4 Mn 0.333 0.667 0.672
Mn5 Mn 0.667 0.333 0.172
Mn6 Mn 0.667 0.333 0.672
O1 O 0.000 0.147 0.592
O2 O 0.000 0.853 0.092
O3 O 0.147 0.000 0.592
O4 O 0.147 0.147 0.092
O5 O 0.186 0.519 0.419
O6 O 0.186 0.667 0.919
O7 O 0.333 0.519 0.919
O8 O 0.333 0.814 0.419
O9 O 0.481 0.667 0.419
O10 O 0.481 0.814 0.919
O11 O 0.519 0.186 0.419
O12 O 0.519 0.333 0.919
O13 O 0.667 0.186 0.919
O14 O 0.667 0.481 0.419
O15 O 0.814 0.333 0.419
O16 O 0.814 0.481 0.919
O17 O 0.853 0.000 0.092
O18 O 0.853 0.853 0.592
# Energy of formation from the pure elements, kJ/mol of atoms: -238.80
# Largest piezoelectric modulus, C/m2: 1.1



[10]
# Li2VO3F GGA+U optimized geometry
data_Li2VO3F
_chemical_formula_sum 'Li4 V2 O6 F2'
_symmetry_space_group_name_H-M 'P 1'
_symmetry_Int_Tables_number 1
_cell_length_a 5.050
_cell_length_b 5.214
_cell_length_c 5.796
_cell_angle_alpha 91.05
_cell_angle_beta 91.30
_cell_angle_gamma 111.69
loop_
_symmetry_equiv_pos_as_xyz
'x,y,z'
loop_
_atom_site_label
_atom_site_type_symbol
_atom_site_fract_x
_atom_site_fract_y
_atom_site_fract_z
Li1 Li 0.000 0.000 0.000
Li2 Li 0.034 0.515 0.228
Li3 Li 0.521 0.479 0.996
Li4 Li 0.571 0.477 0.496
V1 V 0.034 0.062 0.494
V2 V 0.465 0.926 0.757
O1 O 0.234 0.245 0.270
O2 O 0.239 0.781 0.516
O3 O 0.279 0.749 0.980
O4 O 0.282 0.214 0.736
O5 O 0.737 0.782 0.732
O6 O 0.788 0.218 0.510
F1 F 0.739 0.232 0.979
F2 F 0.796 0.742 0.259
# Energy of formation from the pure elements, kJ/mol of atoms: -246.46
# Spin magnetization, μB per formula unit: 0.00
# Largest piezoelectric modulus, C/m2: 1.0



[11]
# KMnPCO7 GGA+U optimized geometry
data_KMnPCO7
_chemical_formula_sum 'K2 Mn2 P2 C2 O14'
_symmetry_space_group_name_H-M 'P 1'
_symmetry_Int_Tables_number 1
_cell_length_a 5.403
_cell_length_b 6.211
_cell_length_c 10.009
_cell_angle_alpha 90.00
_cell_angle_beta 91.29
_cell_angle_gamma 90.00
loop_
_symmetry_equiv_pos_as_xyz
'x,y,z'
loop_
_atom_site_label
_atom_site_type_symbol
_atom_site_fract_x
_atom_site_fract_y
_atom_site_fract_z
K1 K 0.245 0.000 0.265
K2 K 0.755 0.500 0.735
Mn1 Mn 0.226 0.137 0.854
Mn2 Mn 0.774 0.637 0.146
P1 P 0.274 0.641 0.943
P2 P 0.726 0.141 0.057
C1 C 0.281 0.162 0.612
C2 C 0.719 0.662 0.388
O1 O 0.065 0.151 0.670
O2 O 0.107 0.645 0.064
O3 O 0.221 0.831 0.844
O4 O 0.224 0.447 0.847
O5 O 0.312 0.188 0.491
O6 O 0.448 0.140 0.014
O7 O 0.462 0.145 0.703
O8 O 0.538 0.645 0.297
O9 O 0.552 0.640 0.986
O10 O 0.688 0.688 0.509
O11 O 0.776 0.947 0.153
O12 O 0.779 0.331 0.156
O13 O 0.893 0.145 0.936
O14 O 0.935 0.651 0.330
# Energy of formation from the pure elements, kJ/mol of atoms: -212.49
# Spin magnetization, μB per formula unit: 3.00